Record 1
A geometry-optimized Li9Mn2Co5O16 structure. Source: the Materials Project, functional PBE+U.

abc: 4.9845 5.9515 9.8410
angles: 88.79 79.05 88.97
Fractional coordinates of all 32 atoms:
Li: 0.0000 0.0000 0.0000
Li: 0.0013 0.5008 0.9995
Li: 0.4988 0.5030 0.4860
Li: 0.5025 0.9909 0.4895
Li: 0.5055 0.7529 0.9932
Li: 0.5065 0.2541 0.9957
Li: 0.7511 0.7486 0.2435
Li: 0.9944 0.2452 0.4927
Li: 0.9971 0.7529 0.4967
Mn: 0.2516 0.9993 0.2438
Mn: 0.7509 0.4994 0.7434
Co: 0.2486 0.5115 0.2446
Co: 0.2507 0.2478 0.7438
Co: 0.2512 0.7522 0.7445
Co: 0.7505 0.0001 0.7452
Co: 0.7508 0.2447 0.2437
O: 0.1058 0.0026 0.6316
O: 0.1132 0.5027 0.6274
O: 0.1140 0.2414 0.1333
O: 0.1521 0.7689 0.1294
O: 0.3509 0.7611 0.3600
O: 0.3863 0.2356 0.3551
O: 0.3891 0.4981 0.8602
O: 0.3957 0.9966 0.8570
O: 0.6107 0.2239 0.6286
O: 0.6111 0.7319 0.6254
O: 0.6172 0.0227 0.1369
O: 0.6175 0.4751 0.1372
O: 0.8799 0.4697 0.3498
O: 0.8860 0.0174 0.3525
O: 0.8904 0.7735 0.8622
O: 0.8916 0.2677 0.8601

## Properties
- SG: No. 1


Record 2
A geometry-optimized SrCaCeNiO6 structure. Source: the Materials Project, functional PBE+U.

abc: 5.7179 5.7179 5.7179
angles: 60.00 60.00 60.00
Fractional coordinates of all 10 atoms:
Sr: 0.0000 0.0000 0.0000
Ca: 0.5000 0.5000 0.5000
Ce: 0.2500 0.2500 0.2500
Ni: 0.7500 0.7500 0.7500
O: 0.5183 0.5183 0.9817
O: 0.5183 0.9817 0.5183
O: 0.5183 0.9817 0.9817
O: 0.9817 0.5183 0.5183
O: 0.9817 0.5183 0.9817
O: 0.9817 0.9817 0.5183

## Properties
- SG: No. 216


Record 3
A geometry-optimized FeSnO3 structure. Source: the Materials Project, functional PBE+U.

abc: 5.4614 7.8687 5.4393
angles: 90.00 90.00 90.00
Fractional coordinates of all 20 atoms:
Fe: 0.0355 0.2500 0.0070
Fe: 0.4645 0.7500 0.5070
Fe: 0.5355 0.2500 0.4930
Fe: 0.9645 0.7500 0.9930
Sn: 0.0000 0.0000 0.5000
Sn: 0.0000 0.5000 0.5000
Sn: 0.5000 0.0000 0.0000
Sn: 0.5000 0.5000 0.0000
O: 0.0843 0.7500 0.6242
O: 0.1749 0.5667 0.1706
O: 0.1749 0.9333 0.1706
O: 0.3251 0.0667 0.6706
O: 0.3251 0.4333 0.6706
O: 0.4157 0.2500 0.1242
O: 0.5843 0.7500 0.8758
O: 0.6749 0.5667 0.3294
O: 0.6749 0.9333 0.3294
O: 0.8251 0.0667 0.8294
O: 0.8251 0.4333 0.8294
O: 0.9157 0.2500 0.3758

## Properties
- SG: No. 62


Record 4
A geometry-optimized Na2CrAgF6 structure. Source: the Materials Project, functional PBE+U.

abc: 6.0406 6.0406 6.0406
angles: 60.00 60.00 60.00
Fractional coordinates of all 10 atoms:
Na: 0.2500 0.2500 0.2500
Na: 0.7500 0.7500 0.7500
Cr: 0.0000 0.0000 0.0000
Ag: 0.5000 0.5000 0.5000
F: 0.2252 0.2252 0.7748
F: 0.2252 0.7748 0.2252
F: 0.2252 0.7748 0.7748
F: 0.7748 0.2252 0.2252
F: 0.7748 0.2252 0.7748
F: 0.7748 0.7748 0.2252

## Properties
- SG: No. 225


Record 5
A geometry-optimized Mn3B7BrO13 structure. Source: the Materials Project, functional PBE+U.

abc: 8.8052 8.7852 12.4545
angles: 90.00 90.00 90.00
Fractional coordinates of all 96 atoms:
Mn: 0.0112 0.0298 0.0000
Mn: 0.0122 0.4706 0.0040
Mn: 0.2402 0.2522 0.2781
Mn: 0.2598 0.2522 0.7781
Mn: 0.4878 0.4706 0.5040
Mn: 0.4888 0.0298 0.5000
Mn: 0.5112 0.9702 0.0000
Mn: 0.5122 0.5294 0.0040
Mn: 0.7402 0.7478 0.2781
Mn: 0.7598 0.7478 0.7781
Mn: 0.9878 0.5294 0.5040
Mn: 0.9888 0.9702 0.5000
B: 0.0004 0.0031 0.7532
B: 0.9996 0.9969 0.2532
B: 0.0010 0.4959 0.7549
B: 0.0450 0.7507 0.1533
B: 0.0944 0.7500 0.6831
B: 0.2425 0.7532 0.0072
B: 0.2444 0.9024 0.8338
B: 0.2449 0.5992 0.8344
B: 0.2551 0.5992 0.3344
B: 0.2556 0.9024 0.3338
B: 0.2575 0.7532 0.5072
B: 0.4056 0.7500 0.1831
B: 0.4550 0.7507 0.6533
B: 0.4990 0.4959 0.2549
B: 0.4996 0.0031 0.2532
B: 0.5004 0.9969 0.7532
B: 0.5010 0.5041 0.7549
B: 0.5450 0.2493 0.1533
B: 0.5944 0.2500 0.6831
B: 0.7425 0.2468 0.0072
B: 0.7444 0.0976 0.8338
B: 0.7449 0.4008 0.8344
B: 0.7551 0.4008 0.3344
B: 0.7556 0.0976 0.3338
B: 0.7575 0.2468 0.5072
B: 0.9056 0.2500 0.1831
B: 0.9550 0.2493 0.6533
B: 0.9990 0.5041 0.2549
Br: 0.2390 0.2506 0.9990
Br: 0.2610 0.2506 0.4990
Br: 0.7390 0.7494 0.9990
Br: 0.7610 0.7494 0.4990
O: 0.0301 0.1584 0.2290
O: 0.0348 0.9074 0.1530
O: 0.0383 0.3328 0.7267
O: 0.0451 0.5937 0.6646
O: 0.0914 0.5362 0.8502
O: 0.0945 0.9438 0.3439
O: 0.1173 0.6769 0.0697
O: 0.1426 0.8174 0.5808
O: 0.1618 0.0238 0.7795
O: 0.1621 0.4876 0.2770
O: 0.1787 0.8751 0.9405
O: 0.1860 0.6373 0.4378
O: 0.2267 0.7502 0.7674
O: 0.2733 0.7502 0.2674
O: 0.3140 0.6373 0.9378
O: 0.3213 0.8751 0.4405
O: 0.3382 0.0238 0.2795
O: 0.3379 0.4876 0.7770
O: 0.3574 0.8174 0.0808
O: 0.3827 0.6769 0.5697
O: 0.4055 0.9438 0.8439
O: 0.4086 0.5362 0.3502
O: 0.4549 0.5937 0.1646
O: 0.4617 0.3328 0.2267
O: 0.4652 0.9074 0.6530
O: 0.4699 0.1584 0.7290
O: 0.5301 0.8416 0.2290
O: 0.5348 0.0926 0.1530
O: 0.5383 0.6672 0.7267
O: 0.5451 0.4063 0.6646
O: 0.5914 0.4638 0.8502
O: 0.5945 0.0562 0.3439
O: 0.6173 0.3231 0.0697
O: 0.6426 0.1826 0.5808
O: 0.6621 0.5124 0.2770
O: 0.6618 0.9762 0.7795
O: 0.6787 0.1249 0.9405
O: 0.6860 0.3627 0.4378
O: 0.7267 0.2498 0.7674
O: 0.7733 0.2498 0.2674
O: 0.8140 0.3627 0.9378
O: 0.8213 0.1249 0.4405
O: 0.8379 0.5124 0.7770
O: 0.8382 0.9762 0.2795
O: 0.8574 0.1826 0.0808
O: 0.8827 0.3231 0.5697
O: 0.9055 0.0562 0.8439
O: 0.9086 0.4638 0.3502
O: 0.9549 0.4063 0.1646
O: 0.9617 0.6672 0.2267
O: 0.9652 0.0926 0.6530
O: 0.9699 0.8416 0.7290

## Properties
- SG: No. 29


Record 6
A geometry-optimized LiVPO5 structure. Source: the Materials Project, functional PBE+U.

abc: 6.4190 7.5901 8.2976
angles: 90.00 90.00 90.00
Fractional coordinates of all 32 atoms:
Li: 0.1017 0.1257 0.2476
Li: 0.3983 0.8743 0.7476
Li: 0.6017 0.3743 0.7524
Li: 0.8983 0.6257 0.2524
V: 0.1206 0.4205 0.5966
V: 0.3794 0.5795 0.0966
V: 0.6206 0.0795 0.4034
V: 0.8794 0.9205 0.9034
P: 0.1032 0.3072 0.9008
P: 0.3968 0.6928 0.4008
P: 0.6032 0.1928 0.0992
P: 0.8968 0.8072 0.5992
O: 0.0718 0.1180 0.9620
O: 0.0766 0.8718 0.7133
O: 0.1063 0.2743 0.4512
O: 0.1350 0.4260 0.0498
O: 0.2095 0.6752 0.2797
O: 0.2905 0.3248 0.7797
O: 0.3650 0.5740 0.5498
O: 0.3937 0.7257 0.9512
O: 0.4234 0.1282 0.2133
O: 0.4282 0.8820 0.4620
O: 0.5718 0.3820 0.0380
O: 0.5766 0.6282 0.2867
O: 0.6063 0.2257 0.5488
O: 0.6350 0.0740 0.9502
O: 0.7095 0.8248 0.7203
O: 0.7905 0.1752 0.2203
O: 0.8650 0.9260 0.4502
O: 0.8937 0.7743 0.0488
O: 0.9234 0.3718 0.7867
O: 0.9282 0.6180 0.5380

## Properties
- SG: No. 19


Number 1: E (MP2020) -6.4258 eV/atom. Number 2: E (MP2020) -7.1090 eV/atom. Number 3: E (MP2020) -7.2883 eV/atom. Number 4: E (MP2020) -5.2229 eV/atom. Number 5: E (MP2020) -8.4625 eV/atom. Number 6: E (MP2020) -7.7537 eV/atom.